DFT (GGA-PBE) results for an optimized crystal structure of Na10Y7TaP12O48. Values from VASP.

Quantum ESPRESSO input file:
```
&SYSTEM
  ibrav = 0, nat = 234, ntyp = 5
/
ATOMIC_SPECIES
Na 22.99 Na.upf
Y 88.91 Y.upf
Ta 180.95 Ta.upf
P 30.97 P.upf
O 16.00 O.upf
CELL_PARAMETERS angstrom
-12.510 -10.258 9.013
8.701 -3.051 -0.957
5.905 10.517 20.106
ATOMIC_POSITIONS crystal
Na 0.317 0.000 0.253
Na 0.684 0.366 0.253
Na 0.313 0.630 0.756
Na 0.813 0.629 0.755
Na 0.153 0.334 0.582
Na 0.653 0.335 0.582
Na 0.013 0.696 0.583
Na 0.514 0.695 0.582
Na 0.332 0.968 0.582
Na 0.834 0.972 0.582
Na 0.153 0.972 0.081
Na 0.654 0.974 0.082
Na 0.333 0.694 0.082
Na 0.833 0.694 0.082
Na 0.014 0.333 0.081
Na 0.514 0.333 0.083
Na 0.668 0.032 0.414
Na 0.346 0.665 0.412
Na 0.000 0.999 0.494
Na 0.500 0.015 0.493
Na 0.000 0.000 0.997
Na 0.500 0.000 0.997
Na 0.333 0.320 0.838
Na 0.833 0.320 0.838
Na 0.334 0.334 0.332
Na 0.847 0.347 0.334
Na 0.162 0.651 0.172
Na 0.665 0.682 0.172
Na 0.159 0.666 0.672
Na 0.659 0.665 0.672
Y 0.500 0.005 0.349
Y 0.002 0.004 0.654
Y 0.502 0.003 0.652
Y 0.000 0.998 0.153
Y 0.500 0.997 0.153
Y 0.334 0.325 0.690
Y 0.834 0.325 0.691
Y 0.331 0.341 0.186
Y 0.840 0.334 0.188
Y 0.333 0.334 0.978
Y 0.833 0.335 0.978
Y 0.332 0.323 0.480
Y 0.838 0.344 0.480
Y 0.167 0.667 0.007
Y 0.666 0.666 0.008
Y 0.160 0.660 0.510
Y 0.671 0.668 0.511
Y 0.162 0.660 0.316
Y 0.664 0.669 0.317
Y 0.163 0.667 0.818
Y 0.663 0.667 0.818
Ta 0.000 0.000 0.349
Ta 0.002 0.003 0.851
Ta 0.502 0.003 0.851
P 0.148 0.001 0.252
P 0.653 0.003 0.250
P 0.347 0.699 0.251
P 0.853 0.703 0.252
P 0.999 0.289 0.251
P 0.500 0.302 0.247
P 0.148 0.296 0.752
P 0.648 0.295 0.752
P 0.999 0.709 0.751
P 0.499 0.709 0.751
P 0.355 0.999 0.752
P 0.854 0.998 0.752
P 0.483 0.336 0.584
P 0.982 0.335 0.584
P 0.184 0.032 0.584
P 0.686 0.036 0.581
P 0.331 0.628 0.584
P 0.833 0.630 0.587
P 0.483 0.630 0.082
P 0.984 0.631 0.082
P 0.331 0.033 0.085
P 0.832 0.034 0.082
P 0.183 0.336 0.081
P 0.686 0.338 0.085
P 0.323 0.676 0.912
P 0.822 0.676 0.912
P 0.015 0.354 0.915
P 0.515 0.354 0.916
P 0.162 0.970 0.915
P 0.662 0.970 0.915
P 0.318 0.964 0.416
P 0.823 0.970 0.416
P 0.162 0.356 0.416
P 0.667 0.360 0.416
P 0.015 0.680 0.415
P 0.516 0.670 0.419
O 0.091 0.006 0.302
O 0.607 0.018 0.303
O 0.398 0.786 0.305
O 0.913 0.817 0.302
O 0.489 0.187 0.298
O 0.997 0.171 0.301
O 0.093 0.178 0.802
O 0.592 0.177 0.802
O 0.496 0.822 0.801
O 0.996 0.822 0.801
O 0.415 0.008 0.802
O 0.915 0.009 0.802
O 0.392 0.981 0.695
O 0.892 0.981 0.695
O 0.104 0.223 0.695
O 0.603 0.221 0.695
O 0.007 0.797 0.694
O 0.507 0.798 0.694
O 0.391 0.802 0.196
O 0.890 0.794 0.195
O 0.005 0.214 0.194
O 0.510 0.223 0.191
O 0.103 0.988 0.195
O 0.602 0.987 0.195
O 0.442 0.361 0.637
O 0.940 0.359 0.638
O 0.240 0.115 0.637
O 0.742 0.126 0.633
O 0.320 0.522 0.638
O 0.821 0.528 0.643
O 0.442 0.522 0.136
O 0.945 0.524 0.136
O 0.317 0.106 0.141
O 0.819 0.116 0.136
O 0.237 0.364 0.135
O 0.737 0.364 0.141
O 0.226 0.308 0.029
O 0.731 0.310 0.034
O 0.427 0.547 0.030
O 0.928 0.548 0.030
O 0.345 0.151 0.034
O 0.847 0.146 0.030
O 0.225 0.142 0.531
O 0.725 0.137 0.526
O 0.344 0.545 0.530
O 0.845 0.541 0.536
O 0.428 0.308 0.532
O 0.928 0.308 0.531
O 0.286 0.708 0.968
O 0.786 0.707 0.968
O 0.064 0.420 0.972
O 0.564 0.420 0.973
O 0.145 0.872 0.972
O 0.645 0.870 0.972
O 0.273 0.859 0.471
O 0.792 0.875 0.474
O 0.143 0.417 0.473
O 0.662 0.447 0.472
O 0.062 0.710 0.473
O 0.566 0.688 0.475
O 0.064 0.657 0.367
O 0.562 0.653 0.368
O 0.267 0.876 0.362
O 0.759 0.873 0.369
O 0.177 0.481 0.368
O 0.672 0.462 0.363
O 0.063 0.471 0.867
O 0.562 0.471 0.867
O 0.174 0.876 0.866
O 0.674 0.876 0.866
O 0.268 0.654 0.860
O 0.768 0.654 0.860
O 0.007 0.840 0.404
O 0.511 0.833 0.415
O 0.403 0.968 0.416
O 0.911 0.991 0.402
O 0.084 0.179 0.403
O 0.588 0.182 0.416
O 0.008 0.178 0.904
O 0.508 0.178 0.904
O 0.082 0.985 0.903
O 0.581 0.985 0.903
O 0.412 0.838 0.903
O 0.912 0.838 0.903
O 0.494 0.179 0.588
O 0.993 0.179 0.589
O 0.096 0.013 0.589
O 0.598 0.017 0.587
O 0.410 0.807 0.588
O 0.911 0.809 0.589
O 0.494 0.808 0.087
O 0.994 0.809 0.088
O 0.410 0.012 0.088
O 0.910 0.012 0.087
O 0.095 0.178 0.087
O 0.597 0.180 0.088
O 0.348 0.158 0.754
O 0.848 0.157 0.754
O 0.235 0.309 0.754
O 0.735 0.308 0.754
O 0.414 0.543 0.753
O 0.914 0.543 0.754
O 0.336 0.523 0.249
O 0.848 0.532 0.254
O 0.419 0.311 0.245
O 0.918 0.296 0.255
O 0.235 0.159 0.255
O 0.737 0.172 0.248
O 0.336 0.526 0.918
O 0.836 0.526 0.918
O 0.426 0.324 0.919
O 0.926 0.326 0.919
O 0.237 0.147 0.919
O 0.737 0.147 0.919
O 0.329 0.140 0.419
O 0.830 0.143 0.420
O 0.242 0.344 0.421
O 0.744 0.335 0.417
O 0.425 0.521 0.420
O 0.927 0.528 0.418
O 0.175 0.494 0.075
O 0.678 0.496 0.077
O 0.072 0.650 0.076
O 0.571 0.649 0.076
O 0.252 0.857 0.076
O 0.753 0.858 0.076
O 0.174 0.855 0.579
O 0.677 0.859 0.578
O 0.252 0.645 0.578
O 0.754 0.647 0.581
O 0.070 0.494 0.580
O 0.572 0.494 0.579
O 0.159 0.848 0.257
O 0.665 0.851 0.253
O 0.262 0.696 0.252
O 0.764 0.676 0.258
O 0.077 0.462 0.257
O 0.581 0.473 0.252
O 0.161 0.473 0.757
O 0.661 0.473 0.757
O 0.074 0.684 0.756
O 0.574 0.684 0.756
O 0.269 0.837 0.757
O 0.769 0.836 0.757
```

Results
Space group: P1 (1)
E: -7.444 eV/atom
ΔE_f: -71.201 kcal/mol of atoms